[1]
The following is a r²SCAN calculation of ThMgHg2 after structural relaxation, from the Materials Project database.

Cell: 5.1879 5.1879 5.1879 Å, 60.00 60.00 60.00°
Fractional coordinates of all 4 atoms:
Th  0.0000  0.0000  0.0000
Mg  0.5000  0.5000  0.5000
Hg  0.2500  0.2500  0.2500
Hg  0.7500  0.7500  0.7500

Calculated values
Crystal system: cubic



[2]
The following is a r²SCAN calculation of Y2MgHg after structural relaxation, from the Materials Project database.

Cell: 5.2869 5.2869 5.2869 Å, 60.00 60.00 60.00°
Fractional coordinates of all 4 atoms:
Y  0.2500  0.2500  0.2500
Y  0.7500  0.7500  0.7500
Mg  0.0000  0.0000  0.0000
Hg  0.5000  0.5000  0.5000

Calculated values
ΔE to the lowest computed polymorph, meV per atom: 0
Crystal system: cubic



[3]
The following is a r²SCAN calculation of YbMgHg2 after structural relaxation, from the Materials Project database.

Cell: 4.9766 4.9766 4.9766 Å, 60.00 60.00 60.00°
Fractional coordinates of all 4 atoms:
Yb  0.0000  0.0000  0.0000
Mg  0.5000  0.5000  0.5000
Hg  0.2500  0.2500  0.2500
Hg  0.7500  0.7500  0.7500

Calculated values
Crystal system: cubic



[4]
The following is a r²SCAN calculation of Mn2HgO4 after structural relaxation, from the Materials Project database.

Cell: 6.5021 6.4908 5.8661 Å, 63.26 63.06 53.68°
Fractional coordinates of all 14 atoms:
Mn  0.0000  0.0000  0.0000
Mn  0.0000  0.0000  0.5000
Mn  0.0000  0.5000  0.0000
Mn  0.5000  0.0000  0.0000
Hg  0.3750  0.3750  0.3750
Hg  0.6250  0.6250  0.6250
O  0.1932  0.7656  0.7697
O  0.2286  0.2303  0.2344
O  0.2303  0.2286  0.8068
O  0.2344  0.8068  0.2286
O  0.7656  0.1932  0.7714
O  0.7697  0.7714  0.1932
O  0.7714  0.7697  0.7656
O  0.8068  0.2344  0.2303

Calculated values
Crystal system: orthorhombic



[5]
The following is a r²SCAN calculation of HgMoO4 after structural relaxation, from the Materials Project database.

Cell: 6.4470 6.4470 5.1393 Å, 109.34 109.34 56.51°
Fractional coordinates of all 12 atoms:
Hg  0.0000  0.5000  0.0000
Hg  0.5000  0.0000  0.5000
Mo  0.1916  0.8084  0.7500
Mo  0.8084  0.1916  0.2500
O  0.0078  0.1876  0.0357
O  0.1876  0.0078  0.5357
O  0.2519  0.5224  0.5285
O  0.4776  0.7481  0.9715
O  0.5224  0.2519  0.0285
O  0.7481  0.4776  0.4715
O  0.8124  0.9922  0.4643
O  0.9922  0.8124  0.9643

Calculated values
Crystal system: monoclinic



[6]
The following is a r²SCAN calculation of Na8Hg3 after structural relaxation, from the Materials Project database.

Cell: 18.0374 18.0374 18.0374 Å, 29.41 29.41 29.41°
Fractional coordinates of all 44 atoms:
Na  0.0139  0.2907  0.6412
Na  0.0616  0.0616  0.0616
Na  0.1205  0.3642  0.8586
Na  0.1358  0.3795  0.6414
Na  0.1412  0.7907  0.5139
Na  0.1414  0.8795  0.6358
Na  0.2093  0.4861  0.8588
Na  0.2200  0.2200  0.2200
Na  0.2800  0.2800  0.2800
Na  0.2907  0.6412  0.0139
Na  0.3586  0.8642  0.6205
Na  0.3588  0.9861  0.7093
Na  0.3642  0.8586  0.1205
Na  0.3795  0.6414  0.1358
Na  0.4384  0.4384  0.4384
Na  0.4861  0.8588  0.2093
Na  0.5139  0.1412  0.7907
Na  0.5616  0.5616  0.5616
Na  0.6205  0.3586  0.8642
Na  0.6358  0.1414  0.8795
Na  0.6412  0.0139  0.2907
Na  0.6414  0.1358  0.3795
Na  0.7093  0.3588  0.9861
Na  0.7200  0.7200  0.7200
Na  0.7800  0.7800  0.7800
Na  0.7907  0.5139  0.1412
Na  0.8586  0.1205  0.3642
Na  0.8588  0.2093  0.4861
Na  0.8642  0.6205  0.3586
Na  0.8795  0.6358  0.1414
Na  0.9384  0.9384  0.9384
Na  0.9861  0.7093  0.3588
Hg  0.0000  0.0000  0.0000
Hg  0.0660  0.7500  0.4340
Hg  0.1580  0.1580  0.1580
Hg  0.2500  0.5660  0.9340
Hg  0.3420  0.3420  0.3420
Hg  0.4340  0.0660  0.7500
Hg  0.5000  0.5000  0.5000
Hg  0.5660  0.9340  0.2500
Hg  0.6580  0.6580  0.6580
Hg  0.7500  0.4340  0.0660
Hg  0.8420  0.8420  0.8420
Hg  0.9340  0.2500  0.5660

Calculated values
Crystal system: trigonal



[7]
The following is a r²SCAN calculation of NaNdHg2 after structural relaxation, from the Materials Project database.

Cell: 5.2408 5.2408 5.2408 Å, 60.00 60.00 60.00°
Fractional coordinates of all 4 atoms:
Na  0.0000  0.0000  0.0000
Nd  0.5000  0.5000  0.5000
Hg  0.2500  0.2500  0.2500
Hg  0.7500  0.7500  0.7500

Calculated values
Crystal system: cubic



[8]
The following is a r²SCAN calculation of Na4HgP2 after structural relaxation, from the Materials Project database.

Cell: 8.9786 8.9786 8.9786 Å, 32.13 32.13 32.13°
Fractional coordinates of all 7 atoms:
Na  0.0973  0.0973  0.0973
Na  0.2933  0.2933  0.2933
Na  0.7067  0.7067  0.7067
Na  0.9027  0.9027  0.9027
Hg  0.5000  0.5000  0.5000
P  0.4063  0.4063  0.4063
P  0.5937  0.5937  0.5937

Calculated values
Crystal system: trigonal



no.,total moment (μB per cell),calculated formation energy (meV per atom),calculated volume (Å³ per cell)
1,0.000,-342,99
2,0.349,-324,104
3,0.000,-492,87
4,16.000,-1604,172
5,0.000,-1585,165
6,0.000,-165,1252
7,0.000,-442,102
8,0.000,-459,182